Entry 1:
PBE+U LaZnFeSnO6, optimized geometry; ΔH_f (0 K) = -2.015 eV per atom; energy above the lowest structure with this stoichiometry = 285.1 meV per atom; uncorrected energy = -6.21 eV per atom; total magnetization = 5.0 Bohr magnetons per cell
1.0
-3.3691 2.2382 -3.9355
-5.6040 -0.4348 0.5039
-3.0884 4.5693 1.1963
La Zn Fe Sn O
1 1 1 1 6
Cartesian
-9.0462 4.7795 -1.6764
-3.0154 1.5932 -0.5588
0.0000 0.0000 0.0000
-6.0308 3.1864 -1.1176
-4.6814 2.7057 -2.5461
-7.3801 3.6670 0.3110
-6.2471 5.0221 -1.9396
-5.8144 1.3506 -0.2955
-7.5224 2.4853 -2.2906
-4.5391 3.8874 0.0555

***

Entry 2:
PBE+U Ga2Te2MoO10, optimized geometry; ΔH_f (0 K) = -1.873 eV per atom; uncorrected energy = -6.05 eV per atom; total magnetization = 0.0 Bohr magnetons per cell
1.0
-4.3134 -2.4738 -3.6383
6.3956 -3.2039 -5.4039
0.4741 -12.9038 8.2116
Ga Te Mo O
8 8 4 40
Cartesian
1.5033 -13.8442 2.4595
1.0530 -4.7372 -3.2900
-1.7914 -9.6049 3.4831
-1.0660 -5.9525 -5.0774
0.3276 -8.3897 5.2704
2.2287 -10.1918 -6.1010
3.6223 -12.6290 4.2468
4.3477 -8.9766 -4.3137
1.4900 -12.8889 -0.8285
1.5928 -4.3805 -6.7356
0.9634 -14.2010 5.9050
-1.6454 -12.9846 2.9538
4.2016 -5.5969 -3.7844
-1.3759 -9.0133 -0.0659
1.0662 -5.6926 -0.0020
3.9321 -9.5682 -0.7646
1.3186 -10.2330 2.7859
4.5977 -14.0476 1.4920
1.2377 -8.3485 -3.6165
-2.0414 -4.5339 -2.3226
5.4761 -10.1141 0.2088
3.3588 -7.2983 -4.0861
0.1128 -5.5726 -6.6029
0.6146 -6.6293 -4.0467
0.4322 -14.1624 4.0759
-2.5592 -5.6816 -0.9284
-1.6466 -3.0307 -1.5048
4.9017 -8.9759 -2.3168
3.4648 -11.2676 -1.4877
-0.2748 -13.4233 1.6272
-2.9198 -8.4674 -1.0394
-3.5548 -4.1251 -3.1143
6.1110 -14.4564 2.2838
3.3457 -14.1743 3.0625
5.1154 -12.8999 0.0978
2.5461 -9.7580 -4.2094
1.0167 -15.6801 1.6305
1.6831 -8.2224 -1.9224
-0.8025 -11.2832 3.2555
-0.7894 -4.4071 -3.8931
1.5396 -2.9014 -2.4610
4.2029 -15.5508 0.6742
2.1782 -4.1260 0.0723
0.3780 -14.4555 -0.9028
-0.2251 -9.3167 -3.5319
2.4101 -13.2900 0.8112
0.0102 -8.8235 3.3788
2.8311 -5.1581 -2.4578
2.1241 -4.4191 -4.9065
-0.9085 -7.3139 0.6571
2.7814 -9.2648 2.7014
-0.3229 -4.7488 1.0032
-2.8346 -12.4486 1.5415
0.8732 -10.3591 1.0918
2.8792 -13.8327 -1.8337
0.1461 -5.2915 -1.6418
1.9417 -11.9521 3.2161
-2.3454 -9.6056 1.4862
2.4435 -13.0089 5.7724
5.3909 -6.1328 -2.3721

***

Entry 3:
PBE+U Mn3Al2F15, optimized geometry; ΔH_f (0 K) = -3.067 eV per atom; uncorrected energy = -5.66 eV per atom; total magnetization = 24.0 Bohr magnetons per cell
1.0
-7.6663 -3.9028 -4.5238
2.4270 -4.7481 -0.0165
-3.2643 -3.5445 8.5898
Mn Al F
6 4 30
Cartesian
-2.3327 -6.3521 -0.8104
-4.2518 -6.0977 2.0247
-6.1709 -5.8433 4.8599
1.3554 -4.4746 1.3658
-0.4187 -4.1463 4.2866
-9.8589 -7.7208 2.6837
-1.4740 -7.7256 3.9424
-3.4185 -7.3656 6.9270
-5.0851 -4.8298 -2.8775
-7.0296 -4.4698 0.1071
-0.9550 -3.9832 -0.1658
-2.9338 -3.3225 2.6175
-2.4884 -7.4495 5.4232
-6.0152 -4.7459 -1.3737
-5.5698 -8.8729 1.4320
-7.5486 -8.2122 4.2153
-4.4788 -3.0401 -2.4743
-3.8615 -7.5194 0.1262
-5.5750 -6.7905 3.1646
-2.9286 -5.4049 0.8849
-4.6421 -4.6760 3.9233
-4.0248 -9.1553 6.5238
-5.7444 -6.5399 -3.1396
-7.6542 -6.2129 -0.1584
-7.1211 -10.7506 2.7072
-1.3825 -1.4448 1.3423
-0.8493 -5.9825 4.2079
-2.7592 -5.6555 7.1891
-3.5658 -2.5563 0.0540
-2.9257 -7.0395 2.9827
-4.8551 -6.7225 5.9523
-3.6484 -5.4729 -1.9028
-5.5779 -5.1559 1.0668
-4.9378 -9.6391 3.9955
-6.6630 -4.1520 -3.7632
-5.8857 -8.5499 -1.0683
-8.1598 -8.1064 1.6393
-0.3438 -4.0890 2.4101
-2.6179 -3.6455 5.1177
-1.8406 -8.0434 7.8127

***

Entry 4:
PBE+U NaFe2O4, optimized geometry; ΔH_f (0 K) = -1.609 eV per atom; energy above the lowest structure with this stoichiometry = 0.0 meV per atom; uncorrected energy = -6.01 eV per atom; total magnetization = 36.0 Bohr magnetons per cell
1.0
2.9981 0.0000 0.0000
0.0000 9.2397 0.0000
0.0000 0.0000 10.8373
Na Fe O
4 8 16
Cartesian
0.7495 6.8616 1.7062
2.2485 6.9980 7.1248
0.7495 2.2417 3.7125
2.2485 2.3781 9.1311
0.7495 5.2018 4.2050
0.7495 5.3917 9.7238
2.2485 8.4679 4.3052
2.2485 8.6578 9.6237
0.7495 0.5819 1.2136
0.7495 0.7718 6.5321
2.2485 3.8480 1.1135
2.2485 4.0380 6.6323
2.2485 4.8389 8.5122
0.7495 5.3164 6.2201
2.2485 5.6749 0.2149
2.2485 6.5152 3.7857
0.7495 7.3444 9.2044
0.7495 8.1847 5.6336
2.2485 8.5432 0.8015
0.7495 9.0207 3.0935
2.2485 0.2190 7.7437
0.7495 0.6965 10.0358
2.2485 1.0550 5.2037
2.2485 1.8953 1.6329
0.7495 2.7245 7.0515
0.7495 3.5649 10.6224
2.2485 3.9233 4.6172
0.7495 4.4008 2.3251

***

Entry 5:
PBE+U LiLa6Mn3O14, optimized geometry; ΔH_f (0 K) = -3.180 eV per atom; uncorrected energy = -7.92 eV per atom; total magnetization = 24.0 Bohr magnetons per cell
1.0
-3.9158 -3.7742 -1.3390
1.9791 -3.4502 3.9372
-10.8155 4.9618 17.6438
Li La Mn O
2 12 6 28
Cartesian
-10.0235 -1.3223 9.7427
-0.7437 -0.0712 2.2448
-9.0589 1.2889 11.6656
-4.4622 -1.7884 6.7003
-6.9919 -0.3221 9.2140
-1.4413 -2.6654 0.4409
-9.9784 0.5880 15.4852
-3.8252 -1.3597 2.7841
-10.8912 -2.8363 16.7127
-4.7276 -4.7448 3.9993
-2.4264 -6.3467 1.7635
-3.9876 -0.1582 11.9008
-6.2958 1.4368 14.1341
-1.6666 -1.6383 9.1960
-10.0098 -0.3309 18.6083
-1.6871 -3.6566 3.6355
-7.1313 -1.2108 12.4450
-4.6410 -2.8493 9.7730
-7.5981 -2.9510 7.1417
-9.1008 3.2937 17.2989
-10.2645 2.9999 15.6358
-9.5420 1.4485 17.9186
-6.4783 0.4296 11.6108
-5.6952 -1.0956 13.7237
-4.3935 -0.8916 9.3721
-5.1325 0.7056 7.1139
-0.5569 -3.4140 5.1633
-1.2483 -1.8978 2.9838
-10.9302 0.4779 20.1606
-8.4413 0.1112 13.8167
-3.2009 -3.3651 8.1936
-8.9636 -1.2263 16.8941
-3.4207 -2.7429 4.8624
-5.9426 -2.4080 11.1950
-12.4815 1.3154 15.2720
-11.7149 -0.2551 17.5397
-7.8452 -2.7457 13.3421
-8.5608 -1.2528 11.1544
-6.0765 -2.9045 8.4326
-6.7914 -1.3457 6.1523
-2.1910 -5.4112 4.2509
-2.9392 -3.8524 2.1499
-8.6983 -1.6795 8.2860
-11.2884 -1.3810 14.7244
-5.7755 -2.8498 2.7970
-7.7030 2.9856 12.8089
-2.3821 -0.4898 7.0988
-10.7061 4.0785 18.2705

***

Entry 6:
PBE+U CoAgF3, optimized geometry; ΔH_f (0 K) = -0.847 eV per atom; uncorrected energy = -3.38 eV per atom; total magnetization = 2.8 Bohr magnetons per cell
1.0
-2.0202 3.2360 2.1596
-2.7679 0.5146 -3.3602
-2.7340 -2.9121 1.8061
Co Ag F
1 1 3
Cartesian
-3.7610 0.4193 0.3027
0.0000 0.0000 0.0000
-1.0101 1.6180 1.0798
-1.3839 0.2573 -1.6801
-1.3670 -1.4560 0.9031

***

- Number 4 is which compound?
  NaFe2O4

***

- Among the records above, which one has the lowest uncorrected energy?
  LiLa6Mn3O14